Entry 1:
First-principles (PBE with a Hubbard U) data for an optimized crystal structure of Ag6Mo10O33, as listed in the Materials Project database.

Cell and atoms, written as extended XYZ:
```
49
Lattice="7.688 0.000 0.000 2.000 8.242 0.000 2.378 0.076 11.305" Properties=species:S:1:pos:R:3 pbc="T T T"
Ag 1.753 0.032 2.862
Ag 3.514 4.378 3.146
Ag 5.175 3.964 8.304
Ag 6.891 4.355 3.000
Ag 8.552 3.941 8.159
Ag 10.313 8.286 8.442
Mo 4.377 6.477 11.286
Mo 3.277 1.684 5.895
Mo 6.347 8.300 9.262
Mo 5.521 6.690 5.864
Mo 3.836 1.852 0.015
Mo 8.230 6.466 11.289
Mo 6.545 1.628 5.441
Mo 5.719 0.019 2.042
Mo 8.789 6.634 5.409
Mo 7.690 1.842 0.019
O 2.251 2.859 6.682
O 4.476 8.203 9.932
O 2.298 5.566 1.477
O 4.187 5.229 10.093
O 4.540 8.250 6.520
O 2.711 1.662 4.235
O 4.292 1.481 11.071
O 4.651 5.424 6.720
O 4.262 1.466 8.197
O 6.332 6.897 11.028
O 4.860 6.624 4.231
O 3.620 2.898 1.390
O 6.403 6.958 8.139
O 4.913 2.669 5.695
O 6.401 3.000 9.937
O 5.902 8.224 1.349
O 5.033 0.038 5.652
O 6.165 0.095 9.956
O 5.665 5.318 1.368
O 7.153 5.649 5.610
O 5.663 1.361 3.166
O 8.447 5.420 9.915
O 7.207 1.694 7.073
O 5.734 1.421 0.277
O 7.804 6.852 3.108
O 7.416 2.895 4.585
O 7.775 6.837 0.233
O 9.355 6.657 7.070
O 7.527 0.068 4.785
O 7.879 3.089 1.211
O 9.769 2.752 9.828
O 7.591 0.116 1.373
O 9.815 5.459 4.623
```

Values from the calculation:
Final energy: -313.81 eV for the cell shown
Calculated formation energy: -1628 meV/atom
MP2020-corrected energy: -368.5 eV/f.u.


Entry 2:
First-principles (PBE with a Hubbard U) data for an optimized crystal structure of BaZnCrF7, as listed in the Materials Project database.

Cell and atoms, written as extended XYZ:
```
40
Lattice="5.672 0.000 0.000 0.000 10.066 0.000 -0.523 0.000 9.701" Properties=species:S:1:pos:R:3 pbc="T T T"
Ba 1.357 1.810 0.011
Ba 1.095 3.223 4.862
Ba 4.054 6.843 4.839
Ba 3.792 8.256 9.690
Zn 0.689 6.049 7.866
Zn 0.951 9.050 3.016
Zn 4.198 1.016 6.685
Zn 4.460 4.017 1.834
Cr 1.631 6.169 1.816
Cr 1.369 8.930 6.667
Cr 3.780 1.136 3.034
Cr 3.518 3.897 7.884
F 0.008 7.111 2.406
F -0.253 7.988 7.256
F 0.309 5.464 6.055
F 0.571 9.635 1.204
F 0.458 0.495 6.110
F 0.720 4.538 1.260
F 1.356 6.963 0.024
F 1.094 8.136 4.874
F 2.016 5.458 3.553
F 1.755 9.640 8.404
F 2.023 0.565 3.665
F 1.762 4.468 8.515
F 2.309 7.289 7.248
F 2.570 7.809 2.397
F 2.579 2.256 7.304
F 2.840 2.777 2.453
F 3.387 5.598 1.185
F 3.126 9.501 6.036
F 3.394 0.425 1.297
F 3.133 4.608 6.147
F 4.055 1.930 4.827
F 3.793 3.103 9.677
F 4.429 5.528 8.441
F 4.691 9.571 3.591
F 4.578 0.431 8.497
F 4.840 4.602 3.646
F 5.402 2.078 2.444
F 5.141 2.955 7.295
```

Values from the calculation:
Final energy: -215.19 eV for the cell shown
Calculated formation energy: -3280 meV/atom
MP2020-corrected energy: -59.0 eV/f.u.


Entry 3:
First-principles (PBE with a Hubbard U) data for an optimized crystal structure of KMn4P3O12, as listed in the Materials Project database.

Cell and atoms, written as extended XYZ:
```
80
Lattice="10.210 0.000 0.000 0.000 6.645 0.000 0.000 0.000 16.316" Properties=species:S:1:pos:R:3 pbc="T T T"
K 2.540 1.661 3.494
K 2.565 4.984 11.652
K 7.645 1.661 4.664
K 7.670 4.984 12.822
Mn 0.441 4.984 2.131
Mn 0.667 1.661 10.227
Mn 2.527 3.336 7.293
Mn 2.527 6.631 7.293
Mn 2.578 0.014 15.451
Mn 2.578 3.309 15.451
Mn 4.438 4.984 2.069
Mn 4.664 1.661 10.289
Mn 5.546 4.984 6.027
Mn 5.772 1.661 14.247
Mn 7.632 3.336 0.865
Mn 7.632 6.631 0.865
Mn 7.683 0.014 9.023
Mn 7.683 3.309 9.023
Mn 9.543 4.984 6.089
Mn 9.769 1.661 14.185
P 0.289 1.661 0.975
P 0.429 4.984 9.059
P 2.110 4.984 4.503
P 2.995 1.661 12.661
P 4.676 1.661 0.901
P 4.816 4.984 9.133
P 5.394 1.661 7.183
P 5.534 4.984 15.415
P 7.215 4.984 3.655
P 8.100 1.661 11.813
P 9.781 1.661 7.257
P 9.921 4.984 15.341
O 0.543 4.984 4.368
O 0.623 0.400 1.772
O 0.623 2.923 1.772
O 0.917 3.720 9.768
O 0.917 6.247 9.768
O 1.063 4.984 7.592
O 1.133 1.661 7.448
O 1.131 1.661 15.932
O 1.230 4.984 15.785
O 2.491 0.397 13.400
O 2.491 2.926 13.400
O 2.553 1.661 11.167
O 2.552 4.984 3.009
O 2.614 3.719 5.242
O 2.614 6.248 5.242
O 3.875 1.661 7.627
O 3.974 4.984 7.774
O 3.972 4.984 15.606
O 4.042 1.661 15.750
O 4.188 0.397 1.610
O 4.188 2.925 1.610
O 4.482 3.722 9.930
O 4.482 6.245 9.930
O 4.562 1.661 12.526
O 5.648 4.984 3.790
O 5.728 0.400 6.386
O 5.728 2.923 6.386
O 6.023 3.720 14.705
O 6.023 6.247 14.705
O 6.168 4.984 0.566
O 6.238 1.661 0.710
O 6.236 1.661 8.542
O 6.335 4.984 8.689
O 7.597 0.397 11.074
O 7.597 2.926 11.074
O 7.658 1.661 13.307
O 7.657 4.984 5.149
O 7.719 3.719 2.916
O 7.719 6.248 2.916
O 8.980 1.661 0.531
O 9.079 4.984 0.384
O 9.077 4.984 8.867
O 9.147 1.661 8.724
O 9.293 0.397 6.548
O 9.293 2.925 6.548
O 9.587 3.722 14.544
O 9.587 6.245 14.544
O 9.667 1.661 11.948
```

Values from the calculation:
Final energy: -599.15 eV for the cell shown
Calculated formation energy: -2566 meV/atom
MP2020-corrected energy: -164.7 eV/f.u.
E above lowest polymorph: 0 kJ/mol of formula units


- Which of these has the lowest final energy?
  KMn4P3O12


- Look up the MP2020-corrected energy of the second one.
  -59.0 eV/f.u.


What did the first record say?
First-principles (PBE with a Hubbard U) data for an optimized crystal structure of Ag6Mo10O33, as listed in the Materials Project database.

Cell and atoms, written as extended XYZ:
```
49
Lattice="7.688 0.000 0.000 2.000 8.242 0.000 2.378 0.076 11.305" Properties=species:S:1:pos:R:3 pbc="T T T"
Ag 1.753 0.032 2.862
Ag 3.514 4.378 3.146
Ag 5.175 3.964 8.304
Ag 6.891 4.355 3.000
Ag 8.552 3.941 8.159
Ag 10.313 8.286 8.442
Mo 4.377 6.477 11.286
Mo 3.277 1.684 5.895
Mo 6.347 8.300 9.262
Mo 5.521 6.690 5.864
Mo 3.836 1.852 0.015
Mo 8.230 6.466 11.289
Mo 6.545 1.628 5.441
Mo 5.719 0.019 2.042
Mo 8.789 6.634 5.409
Mo 7.690 1.842 0.019
O 2.251 2.859 6.682
O 4.476 8.203 9.932
O 2.298 5.566 1.477
O 4.187 5.229 10.093
O 4.540 8.250 6.520
O 2.711 1.662 4.235
O 4.292 1.481 11.071
O 4.651 5.424 6.720
O 4.262 1.466 8.197
O 6.332 6.897 11.028
O 4.860 6.624 4.231
O 3.620 2.898 1.390
O 6.403 6.958 8.139
O 4.913 2.669 5.695
O 6.401 3.000 9.937
O 5.902 8.224 1.349
O 5.033 0.038 5.652
O 6.165 0.095 9.956
O 5.665 5.318 1.368
O 7.153 5.649 5.610
O 5.663 1.361 3.166
O 8.447 5.420 9.915
O 7.207 1.694 7.073
O 5.734 1.421 0.277
O 7.804 6.852 3.108
O 7.416 2.895 4.585
O 7.775 6.837 0.233
O 9.355 6.657 7.070
O 7.527 0.068 4.785
O 7.879 3.089 1.211
O 9.769 2.752 9.828
O 7.591 0.116 1.373
O 9.815 5.459 4.623
```

Values from the calculation:
Final energy: -313.81 eV for the cell shown
Calculated formation energy: -1628 meV/atom
MP2020-corrected energy: -368.5 eV/f.u.


- Among the records above, which one has the highest final energy?
  BaZnCrF7